# SmB2Ru2

An optimized crystal structure of SmB2Ru2 (GGA-PBE, the Materials Project database).

DFT total energy, eV/atom: -7.85
Symmetry: Fddd
Density, g cm⁻³: 8.4
Formation enthalpy at 0 K, eV/f.u.: -2.63

Structure (POSCAR):
```
SmB2Ru2
1.0
0.0000 4.5391 4.9626
3.2855 0.0000 4.9626
3.2855 4.5391 0.0000
Sm B Ru
2 4 4
Direct
0.0000 0.0000 0.0000
0.2500 0.2500 0.2500
0.6850 0.3150 0.6850
0.3150 0.6850 0.3150
0.9350 0.5650 0.9350
0.5650 0.9350 0.5650
0.6128 0.6128 0.8872
0.6372 0.6372 0.3628
0.3628 0.3628 0.6372
0.8872 0.8872 0.6128
```